1 | ## Li3MnVP3O12 (PBE with a Hubbard U)

Data for a relaxed Li3MnVP3O12 crystal.

Properties
Crystal system: triclinic
Spin magnetization (μB/cell): 24.0

Unit cell a=9.8754 b=9.8860 c=9.9161 alpha=87.07 beta=86.51 gamma=88.33
Last column: nearest neighbours and their distance in Å.
Space group P1 (No. 1)
Unique sites:
Li1 0.0000 0.0000 0.0000 x1  3 O 1.99-2.10
Li2 0.0221 0.7493 0.1264 x1  3 O 1.92-2.01
Li3 0.0819 0.0767 0.7272 x1  3 O 1.91-2.01
Li4 0.1826 0.5850 0.6300 x1  3 O 1.92-2.00
Li5 0.3115 0.7902 0.4257 x1  3 O 1.87-1.95
Li6 0.4077 0.3908 0.7539 x1  3 O 1.91-2.07
Li7 0.4766 0.4753 0.4823 x1  3 O 2.00-2.10
Li8 0.5135 0.6676 0.2231 x1  3 O 1.91-2.07
Li9 0.6908 0.1656 0.0540 x1  3 O 1.89-1.97
Li10 0.7220 0.4422 0.3533 x1  3 O 1.92-1.95
Li11 0.8065 0.9679 0.2612 x1  3 O 1.95-2.11
Li12 0.8867 0.2978 0.8355 x1  3 O 1.91-2.02
Mn1 0.6960 0.7776 0.7422 x1  6 O 1.91-2.13
Mn2 0.7122 0.5567 0.9620 x1  4 O 1.93-2.12
Mn3 0.9176 0.7651 0.5163 x1  3 O 1.93-2.00
Mn4 0.9702 0.2661 0.4651 x1  6 O 2.07-2.26
V1 0.1976 0.2753 0.2415 x1  6 O 1.99-2.06
V2 0.2073 0.4977 0.0204 x1  6 O 1.96-2.12
V3 0.4157 0.0612 0.2397 x1  6 O 1.97-2.12
V4 0.4804 0.9951 0.7380 x1  5 O 1.88-2.08
P1 0.0012 0.6991 0.8463 x1  4 O 1.52-1.61
P2 0.0959 0.9716 0.3152 x1  4 O 1.54-1.57
P3 0.1211 0.5713 0.3417 x1  4 O 1.53-1.57
P4 0.2717 0.1769 0.9424 x1  4 O 1.52-1.60
P5 0.3032 0.2018 0.5386 x1  4 O 1.52-1.61
P6 0.4046 0.6798 0.8166 x1  4 O 1.53-1.59
P7 0.5021 0.3817 0.1619 x1  4 O 1.54-1.58
P8 0.5934 0.8580 0.4376 x1  4 O 1.54-1.59
P9 0.6205 0.8825 0.0412 x1  4 O 1.54-1.60
P10 0.7752 0.4787 0.6354 x1  4 O 1.53-1.62
P11 0.7942 0.0669 0.6599 x1  4 O 1.51-1.60
P12 0.9039 0.3580 0.1304 x1  4 O 1.53-1.60
O1 0.0115 0.9249 0.2011 x1  1 P 1.54
O2 0.0348 0.8161 0.9316 x1  1 P 1.52
O3 0.0384 0.7170 0.6927 x1  1 P 1.55
O4 0.0431 0.9046 0.4540 x1  1 P 1.56
O5 0.0659 0.3589 0.1097 x1  1 P 1.60
O6 0.0704 0.5635 0.8959 x1  1 P 1.56
O7 0.0723 0.1290 0.3163 x1  1 P 1.57
O8 0.1219 0.4129 0.3671 x1  1 P 1.57
O9 0.1429 0.1149 0.9004 x1  1 P 1.52
O10 0.1508 0.1929 0.5769 x1  1 P 1.53
O11 0.1533 0.6073 0.1874 x1  1 P 1.57
O12 0.2252 0.6236 0.4333 x1  1 P 1.53
O13 0.2505 0.9357 0.3013 x1  1 P 1.56
O14 0.2785 0.3335 0.9104 x1  1 P 1.57
O15 0.2799 0.1476 0.1014 x1  1 P 1.60
O16 0.3302 0.1966 0.3775 x1  1 P 1.61
O17 0.3430 0.4048 0.1569 x1  1 P 1.58
O18 0.3429 0.6392 0.9576 x1  1 P 1.53
O19 0.3558 0.5918 0.7077 x1  1 P 1.53
O20 0.3684 0.3295 0.5812 x1  1 P 1.52
O21 0.3725 0.0696 0.5992 x1  1 P 1.57
O22 0.3774 0.8361 0.7857 x1  1 P 1.58
O23 0.4025 0.1144 0.8727 x1  1 P 1.56
O24 0.4821 0.9294 0.1069 x1  1 P 1.55
O25 0.5039 0.7443 0.3964 x1  1 P 1.54
O26 0.5382 0.2280 0.1751 x1  1 P 1.55
O27 0.5450 0.4652 0.2784 x1  1 P 1.54
O28 0.5515 0.9951 0.3667 x1  1 P 1.55
O29 0.5644 0.6529 0.8181 x1  1 P 1.59
O30 0.5694 0.8670 0.5966 x1  1 P 1.59
O31 0.5702 0.4352 0.0248 x1  1 P 1.55
O32 0.6130 0.9028 0.8809 x1  1 P 1.60
O33 0.6384 0.0956 0.7003 x1  1 P 1.59
O34 0.6416 0.7300 0.0786 x1  1 P 1.54
O35 0.6633 0.4416 0.5452 x1  1 P 1.53
O36 0.7345 0.9720 0.0821 x1  1 P 1.54
O37 0.7449 0.4407 0.7881 x1  1 P 1.56
O38 0.7466 0.8344 0.4015 x1  1 P 1.55
O39 0.7849 0.6421 0.6130 x1  1 P 1.62
O40 0.8234 0.9067 0.6660 x1  1 P 1.60
O41 0.8244 0.1215 0.5161 x1  1 P 1.51
O42 0.8402 0.6823 0.8699 x1  1 P 1.61
O43 0.8465 0.5033 0.0954 x1  1 P 1.56
O44 0.8570 0.2563 0.0322 x1  1 P 1.53
O45 0.8620 0.3237 0.2796 x1  1 P 1.54
O46 0.8840 0.1220 0.7636 x1  1 P 1.53
O47 0.9155 0.4170 0.5971 x1  1 P 1.53
O48 0.9776 0.6341 0.3756 x1  1 P 1.56


2 | ## Li3MnVP3O12 (PBE with a Hubbard U)

Data for a relaxed Li3MnVP3O12 crystal.

Properties
Crystal system: monoclinic
Spin magnetization (μB/cell): 48.0

Unit cell a=11.9785 b=16.7869 c=10.0792 alpha=90.00 beta=124.42 gamma=90.00
Last column: nearest neighbours and their distance in Å.
Space group C2/c (No. 15)
Unique sites:
Li1 0.0000 0.1169 0.2500 x4  6 O 2.25-2.48
Li2 0.0000 0.3631 0.7500 x4  6 O 2.25-2.40
Li3 0.0633 0.3152 0.1174 x8  5 O 2.18-2.43
Li4 0.1830 0.0612 0.8726 x8  8 O 2.29-2.53
Mn1 0.0000 0.0000 0.0000 x4  6 O 2.12-2.14
Mn2 0.2500 0.2500 0.0000 x4  6 O 1.95-2.18
V1 0.0000 0.5000 0.0000 x4  6 O 2.00-2.06
V2 0.2500 0.2500 0.5000 x4  6 O 1.95-1.98
P1 0.0663 0.1906 0.6299 x8  4 O 1.53-1.59
P2 0.1869 0.4356 0.3759 x8  4 O 1.53-1.59
P3 0.2479 0.3749 0.7480 x8  4 O 1.53-1.59
O1 0.0147 0.1063 0.6223 x8  1 P 1.53
O2 0.0359 0.2576 0.9071 x8  1 P 1.54
O3 0.0972 0.2058 0.4978 x8  1 P 1.59
O4 0.0984 0.3957 0.6137 x8  1 P 1.56
O5 0.1093 0.4994 0.4069 x8  1 P 1.56
O6 0.1450 0.3467 0.3845 x8  1 P 1.59
O7 0.1461 0.4382 0.1989 x8  1 P 1.56
O8 0.1514 0.0584 0.2156 x8  1 P 1.53
O9 0.1635 0.0474 0.4952 x8  1 P 1.53
O10 0.1945 0.1969 0.2992 x8  1 P 1.59
O11 0.2014 0.1947 0.8041 x8  1 P 1.58
O12 0.2411 0.3522 0.8942 x8  1 P 1.57


Ordering by calculated energy gives the sequence 1, 2, with the first entry being the most stable.